Record 1
This record from the Materials Project database describes a relaxed structure of P. The functional is r²SCAN.

## Properties
- E above lowest polymorph (meV/atom) = 113
- electronic total energy (eV/cell) = -53.34

a b c (Å): 3.451 3.451 9.389
angles (deg): 90.00 90.00 120.00
Atoms (fractional coordinates):
P 0.000 0.000 0.227
P 0.000 0.000 0.773
P 0.333 0.667 0.440
P 0.333 0.667 0.894
P 0.667 0.333 0.106
P 0.667 0.333 0.560

Record 2
This record from the Materials Project database describes a relaxed structure of BaEuYSnO6. The functional is r²SCAN.

## Properties
- electronic total energy (eV/cell) = -173.69

a b c (Å): 5.975 5.975 5.975
angles (deg): 60.00 60.00 60.00
Atoms (fractional coordinates):
Ba 0.000 0.000 0.000
Eu 0.500 0.500 0.500
Y 0.750 0.750 0.750
Sn 0.250 0.250 0.250
O 0.009 0.009 0.491
O 0.009 0.491 0.009
O 0.009 0.491 0.491
O 0.491 0.009 0.009
O 0.491 0.009 0.491
O 0.491 0.491 0.009

Record 3
This record from the Materials Project database describes a relaxed structure of BiTeCl. The functional is r²SCAN.

## Properties
- electronic total energy (eV/cell) = -184.08

a b c (Å): 4.284 4.284 13.090
angles (deg): 90.00 90.00 120.00
Atoms (fractional coordinates):
Bi 0.333 0.667 0.000
Bi 0.667 0.333 0.500
Te 0.333 0.667 0.633
Te 0.667 0.333 0.133
Cl 0.000 0.000 0.374
Cl 0.000 0.000 0.874

Record 4
This record from the Materials Project database describes a relaxed structure of ZrAl5Cu7. The functional is r²SCAN.

## Properties
- electronic total energy (eV/cell) = -136.64

a b c (Å): 6.478 6.478 6.478
angles (deg): 135.85 98.45 97.79
Atoms (fractional coordinates):
Zr 0.000 0.000 0.000
Al 0.200 0.700 0.500
Al 0.352 0.352 0.000
Al 0.353 0.010 0.343
Al 0.661 0.661 0.000
Al 0.666 0.010 0.657
Cu 0.008 0.005 0.501
Cu 0.008 0.507 0.003
Cu 0.226 0.503 0.724
Cu 0.504 0.005 0.997
Cu 0.504 0.507 0.499
Cu 0.779 0.503 0.276
Cu 0.792 0.292 0.500

Record 5
This record from the Materials Project database describes a relaxed structure of Ca2InPt2. The functional is r²SCAN.

## Properties
- electronic total energy (eV/cell) = -289.15

a b c (Å): 5.803 5.803 8.147
angles (deg): 102.72 102.72 58.87
Atoms (fractional coordinates):
Ca 0.001 0.297 0.149
Ca 0.297 0.001 0.649
Ca 0.703 0.999 0.351
Ca 0.999 0.703 0.851
In 0.348 0.652 0.250
In 0.652 0.348 0.750
Pt 0.224 0.503 0.497
Pt 0.497 0.776 0.003
Pt 0.503 0.224 0.997
Pt 0.776 0.497 0.503

Record 6
This record from the Materials Project database describes a relaxed structure of TbCo12B6. The functional is r²SCAN.

## Properties
- electronic total energy (eV/cell) = -239.02

a b c (Å): 5.925 5.925 5.925
angles (deg): 104.09 104.09 104.09
Atoms (fractional coordinates):
Tb 0.000 0.000 0.000
Co 0.133 0.500 0.867
Co 0.133 0.867 0.500
Co 0.186 0.458 0.458
Co 0.458 0.186 0.458
Co 0.458 0.458 0.186
Co 0.500 0.133 0.867
Co 0.500 0.867 0.133
Co 0.542 0.542 0.814
Co 0.542 0.814 0.542
Co 0.814 0.542 0.542
Co 0.867 0.133 0.500
Co 0.867 0.500 0.133
B 0.231 0.231 0.678
B 0.231 0.678 0.231
B 0.322 0.769 0.769
B 0.678 0.231 0.231
B 0.769 0.322 0.769
B 0.769 0.769 0.322

Record 7
This record from the Materials Project database describes a relaxed structure of Sm3Sn13Ir4. The functional is r²SCAN.

## Properties
- electronic total energy (eV/cell) = -1261.72

a b c (Å): 9.738 9.738 9.738
angles (deg): 90.00 90.00 90.00
Atoms (fractional coordinates):
Sm 0.000 0.250 0.500
Sm 0.000 0.750 0.500
Sm 0.250 0.500 0.000
Sm 0.500 0.000 0.250
Sm 0.500 0.000 0.750
Sm 0.750 0.500 0.000
Sn 0.000 0.000 0.000
Sn 0.000 0.307 0.152
Sn 0.000 0.307 0.848
Sn 0.000 0.693 0.152
Sn 0.000 0.693 0.848
Sn 0.152 0.000 0.307
Sn 0.152 0.000 0.693
Sn 0.193 0.500 0.348
Sn 0.193 0.500 0.652
Sn 0.307 0.152 0.000
Sn 0.307 0.848 0.000
Sn 0.348 0.193 0.500
Sn 0.348 0.807 0.500
Sn 0.500 0.348 0.193
Sn 0.500 0.348 0.807
Sn 0.500 0.500 0.500
Sn 0.500 0.652 0.193
Sn 0.500 0.652 0.807
Sn 0.652 0.193 0.500
Sn 0.652 0.807 0.500
Sn 0.693 0.152 0.000
Sn 0.693 0.848 0.000
Sn 0.807 0.500 0.348
Sn 0.807 0.500 0.652
Sn 0.848 0.000 0.307
Sn 0.848 0.000 0.693
Ir 0.250 0.250 0.250
Ir 0.250 0.250 0.750
Ir 0.250 0.750 0.250
Ir 0.250 0.750 0.750
Ir 0.750 0.250 0.250
Ir 0.750 0.250 0.750
Ir 0.750 0.750 0.250
Ir 0.750 0.750 0.750

Record 8
This record from the Materials Project database describes a relaxed structure of Sr4Zn3F14. The functional is r²SCAN.

## Properties
- electronic total energy (eV/cell) = -204.51

a b c (Å): 6.754 6.754 7.123
angles (deg): 90.00 90.00 120.00
Atoms (fractional coordinates):
Sr 0.000 0.000 0.238
Sr 0.000 0.000 0.762
Sr 0.333 0.667 0.000
Sr 0.667 0.333 0.000
Zn 0.000 0.544 0.500
Zn 0.456 0.456 0.500
Zn 0.544 0.000 0.500
F 0.000 0.241 0.500
F 0.000 0.267 0.000
F 0.000 0.610 0.232
F 0.000 0.610 0.768
F 0.241 0.000 0.500
F 0.267 0.000 0.000
F 0.333 0.667 0.500
F 0.390 0.390 0.232
F 0.390 0.390 0.768
F 0.610 0.000 0.232
F 0.610 0.000 0.768
F 0.667 0.333 0.500
F 0.733 0.733 0.000
F 0.759 0.759 0.500

Record 9
This record from the Materials Project database describes a relaxed structure of In. The functional is r²SCAN.

## Properties
- E above lowest polymorph (meV/atom) = 0
- electronic total energy (eV/cell) = -45.16

a b c (Å): 3.389 3.389 4.595
angles (deg): 90.00 90.00 90.00
Atoms (fractional coordinates):
In 0.000 0.000 0.000
In 0.500 0.500 0.500

Record 10
This record from the Materials Project database describes a relaxed structure of SrEr2O4. The functional is r²SCAN.

## Properties
- electronic total energy (eV/cell) = -531.44

a b c (Å): 9.996 3.367 11.800
angles (deg): 90.00 90.00 90.00
Atoms (fractional coordinates):
Sr 0.247 0.250 0.150
Sr 0.253 0.750 0.650
Sr 0.747 0.250 0.350
Sr 0.753 0.750 0.850
Er 0.076 0.250 0.388
Er 0.077 0.250 0.890
Er 0.423 0.750 0.390
Er 0.424 0.750 0.888
Er 0.576 0.250 0.112
Er 0.577 0.250 0.610
Er 0.923 0.750 0.110
Er 0.924 0.750 0.612
O 0.016 0.750 0.784
O 0.074 0.250 0.577
O 0.124 0.750 0.020
O 0.211 0.750 0.328
O 0.289 0.250 0.828
O 0.376 0.250 0.520
O 0.426 0.750 0.077
O 0.484 0.250 0.284
O 0.516 0.750 0.716
O 0.574 0.250 0.923
O 0.624 0.750 0.480
O 0.711 0.750 0.172
O 0.789 0.250 0.672
O 0.876 0.250 0.980
O 0.926 0.750 0.423
O 0.984 0.250 0.216

Record 11
This record from the Materials Project database describes a relaxed structure of V5Si3. The functional is r²SCAN.

## Properties
- E above lowest polymorph (meV/atom) = 34
- electronic total energy (eV/cell) = -202.76

a b c (Å): 7.006 7.006 7.006
angles (deg): 127.79 127.79 76.97
Atoms (fractional coordinates):
V 0.000 0.000 0.000
V 0.014 0.514 0.831
V 0.183 0.014 0.500
V 0.317 0.817 0.831
V 0.486 0.317 0.500
V 0.500 0.500 0.000
V 0.514 0.683 0.500
V 0.683 0.183 0.169
V 0.817 0.986 0.500
V 0.986 0.486 0.169
Si 0.133 0.367 0.500
Si 0.250 0.250 0.000
Si 0.367 0.867 0.235
Si 0.633 0.133 0.765
Si 0.750 0.750 0.000
Si 0.867 0.633 0.500

Record 12
This record from the Materials Project database describes a relaxed structure of RbFeF4. The functional is r²SCAN.

## Properties
- electronic total energy (eV/cell) = -114.93

a b c (Å): 5.351 5.351 6.427
angles (deg): 90.00 90.00 90.00
Atoms (fractional coordinates):
Rb 0.000 0.500 0.000
Rb 0.500 0.000 0.000
Fe 0.000 0.000 0.500
Fe 0.500 0.500 0.500
F 0.000 0.000 0.206
F 0.000 0.000 0.794
F 0.183 0.317 0.500
F 0.317 0.817 0.500
F 0.500 0.500 0.206
F 0.500 0.500 0.794
F 0.683 0.183 0.500
F 0.817 0.683 0.500

Record 13
This record from the Materials Project database describes a relaxed structure of Ca5Pb3. The functional is r²SCAN.

## Properties
- electronic total energy (eV/cell) = -418.78

a b c (Å): 9.425 9.425 6.928
angles (deg): 90.00 90.00 120.00
Atoms (fractional coordinates):
Ca 0.000 0.272 0.250
Ca 0.000 0.728 0.750
Ca 0.272 0.000 0.250
Ca 0.272 0.272 0.750
Ca 0.333 0.667 0.000
Ca 0.333 0.667 0.500
Ca 0.667 0.333 0.000
Ca 0.667 0.333 0.500
Ca 0.728 0.000 0.750
Ca 0.728 0.728 0.250
Pb 0.000 0.385 0.750
Pb 0.000 0.615 0.250
Pb 0.385 0.000 0.750
Pb 0.385 0.385 0.250
Pb 0.615 0.000 0.250
Pb 0.615 0.615 0.750

Record 14
This record from the Materials Project database describes a relaxed structure of Ca28Ga11. The functional is r²SCAN.

## Properties
- electronic total energy (eV/cell) = -336.80

a b c (Å): 30.899 30.899 30.899
angles (deg): 170.16 16.95 166.23
Atoms (fractional coordinates):
Ca 0.000 0.000 0.000
Ca 0.023 0.940 0.083
Ca 0.087 0.881 0.206
Ca 0.195 0.578 0.617
Ca 0.270 0.452 0.818
Ca 0.297 0.559 0.738
Ca 0.301 0.025 0.276
Ca 0.313 0.637 0.676
Ca 0.314 0.814 0.500
Ca 0.321 0.881 0.440
Ca 0.372 0.468 0.903
Ca 0.384 0.021 0.363
Ca 0.441 0.881 0.560
Ca 0.564 0.594 0.970
Ca 0.565 0.468 0.097
Ca 0.624 0.594 0.030
Ca 0.634 0.452 0.182
Ca 0.658 0.021 0.637
Ca 0.675 0.881 0.794
Ca 0.694 0.841 0.853
Ca 0.749 0.025 0.724
Ca 0.822 0.559 0.262
Ca 0.857 0.940 0.917
Ca 0.884 0.428 0.456
Ca 0.960 0.578 0.383
Ca 0.961 0.637 0.324
Ca 0.971 0.428 0.544
Ca 0.988 0.841 0.147
Ga 0.037 0.264 0.773
Ga 0.107 0.246 0.861
Ga 0.154 0.197 0.957
Ga 0.240 0.197 0.043
Ga 0.385 0.246 0.139
Ga 0.491 0.264 0.227
Ga 0.550 0.230 0.320
Ga 0.623 0.214 0.409
Ga 0.722 0.222 0.500
Ga 0.805 0.214 0.591
Ga 0.910 0.230 0.680

Record 15
This record from the Materials Project database describes a relaxed structure of SiC. The functional is r²SCAN.

## Properties
- E above lowest polymorph (meV/atom) = 0
- electronic total energy (eV/cell) = -367.32

a b c (Å): 47.840 47.840 47.840
angles (deg): 3.69 3.69 3.69
Atoms (fractional coordinates):
Si 0.000 0.000 0.000
Si 0.035 0.035 0.035
Si 0.088 0.088 0.088
Si 0.140 0.140 0.140
Si 0.193 0.193 0.193
Si 0.246 0.246 0.246
Si 0.298 0.298 0.298
Si 0.351 0.351 0.351
Si 0.404 0.404 0.404
Si 0.439 0.439 0.439
Si 0.509 0.509 0.509
Si 0.544 0.544 0.544
Si 0.614 0.614 0.614
Si 0.649 0.649 0.649
Si 0.719 0.719 0.719
Si 0.789 0.789 0.789
Si 0.825 0.825 0.825
Si 0.895 0.895 0.895
Si 0.930 0.930 0.930
C 0.013 0.013 0.013
C 0.048 0.048 0.048
C 0.101 0.101 0.101
C 0.154 0.154 0.154
C 0.206 0.206 0.206
C 0.259 0.259 0.259
C 0.311 0.311 0.311
C 0.364 0.364 0.364
C 0.417 0.417 0.417
C 0.452 0.452 0.452
C 0.522 0.522 0.522
C 0.557 0.557 0.557
C 0.627 0.627 0.627
C 0.662 0.662 0.662
C 0.732 0.732 0.732
C 0.803 0.803 0.803
C 0.838 0.838 0.838
C 0.908 0.908 0.908
C 0.943 0.943 0.943

Record 16
This record from the Materials Project database describes a relaxed structure of DyCoB4. The functional is r²SCAN.

## Properties
- electronic total energy (eV/cell) = -312.95

a b c (Å): 5.885 11.399 3.395
angles (deg): 90.00 90.00 90.00
Atoms (fractional coordinates):
Dy 0.127 0.150 0.000
Dy 0.373 0.650 0.000
Dy 0.627 0.350 0.000
Dy 0.873 0.850 0.000
Co 0.133 0.411 0.000
Co 0.367 0.911 0.000
Co 0.633 0.089 0.000
Co 0.867 0.589 0.000
B 0.022 0.690 0.500
B 0.112 0.546 0.500
B 0.139 0.967 0.500
B 0.217 0.816 0.500
B 0.283 0.316 0.500
B 0.361 0.467 0.500
B 0.388 0.046 0.500
B 0.478 0.190 0.500
B 0.522 0.810 0.500
B 0.612 0.954 0.500
B 0.639 0.533 0.500
B 0.717 0.684 0.500
B 0.783 0.184 0.500
B 0.861 0.033 0.500
B 0.888 0.454 0.500
B 0.978 0.310 0.500